# 1
LiEuTiO4: optimized geometry, GGA-PBE.

Unit cell a=5.3060 b=5.3577 c=11.9904 alpha=89.98 beta=90.00 gamma=90.00
Positions (direct):
Li  0.5000  0.7500  0.4906
Li  0.0000  0.7500  0.4906
Li  0.0000  0.2500  0.5094
Li  0.5000  0.2500  0.5094
Eu  0.2500  0.5188  0.1154
Eu  0.7500  0.4814  0.8846
Eu  0.7500  0.9818  0.1154
Eu  0.2500  0.0184  0.8846
Ti  0.2500  0.5058  0.7103
Ti  0.7500  0.9942  0.7103
Ti  0.7500  0.4942  0.2897
Ti  0.2500  0.0058  0.2897
O  0.0000  0.2500  0.7416
O  0.5000  0.2500  0.2421
O  0.0000  0.2500  0.2421
O  0.2500  0.9544  0.0728
O  0.7500  0.5454  0.0728
O  0.2500  0.5111  0.5608
O  0.5000  0.2500  0.7416
O  0.5000  0.7500  0.2584
O  0.7500  0.0456  0.9270
O  0.2500  0.0111  0.4391
O  0.5000  0.7500  0.7579
O  0.7500  0.4889  0.4391
O  0.0000  0.7500  0.7579
O  0.2500  0.4545  0.9272
O  0.0000  0.7500  0.2584
O  0.7500  0.9889  0.5609

* energy relative to the elements: -3.163 eV per atom
* crystal system: orthorhombic

---

# 2
RbUAsO9: optimized geometry, GGA-PBE.

Unit cell a=16.6404 b=7.2215 c=10.1895 alpha=45.99 beta=90.00 gamma=90.00
Positions (direct):
Rb  0.7102  0.3924  0.0109
Rb  0.7102  0.6076  0.4891
Rb  0.2898  0.6076  0.9891
Rb  0.2898  0.3924  0.5109
U  0.9386  0.5000  0.7500
U  0.0614  0.5000  0.2500
U  0.4494  0.5000  0.7500
U  0.5506  0.5000  0.2500
As  0.0029  0.0000  0.7500
As  0.9971  0.0000  0.2500
As  0.5029  0.0000  0.7500
As  0.4971  0.0000  0.2500
O  0.4401  0.2110  0.7263
O  0.4401  0.7890  0.7737
O  0.4380  0.8296  0.4406
O  0.4380  0.1704  0.0594
O  0.5599  0.7890  0.2737
O  0.5599  0.2110  0.2263
O  0.5620  0.1704  0.5594
O  0.5620  0.8296  0.9406
O  0.8247  0.5000  0.7500
O  0.1753  0.5000  0.2500
O  0.1911  0.8144  0.6151
O  0.1911  0.1856  0.8849
O  0.1859  0.2369  0.9772
O  0.1859  0.7631  0.5228
O  0.8089  0.1856  0.3849
O  0.8089  0.8144  0.1151
O  0.8141  0.7631  0.0228
O  0.8141  0.2369  0.4772
O  0.0476  0.5000  0.7500
O  0.9524  0.5000  0.2500
O  0.5603  0.5000  0.7500
O  0.4397  0.5000  0.2500
O  0.9408  0.2039  0.7366
O  0.9408  0.7961  0.7634
O  0.9361  0.8232  0.4396
O  0.9361  0.1768  0.0604
O  0.0592  0.7961  0.2634
O  0.0592  0.2039  0.2366
O  0.0639  0.1768  0.5604
O  0.0639  0.8232  0.9396
O  0.3398  0.5000  0.7500
O  0.6602  0.5000  0.2500
O  0.7043  0.1340  0.8645
O  0.7043  0.8660  0.6355
O  0.2957  0.8660  0.1355
O  0.2957  0.1340  0.3645

* energy relative to the elements: -1.568 eV per atom
* crystal system: monoclinic

---

# 3
Sc3Tc: optimized geometry, GGA-PBE.

Unit cell a=6.2523 b=6.2523 c=4.7795 alpha=90.00 beta=90.00 gamma=120.00
Positions (direct):
Sc  0.1718  0.3436  0.2500
Sc  0.6564  0.8282  0.2500
Sc  0.1718  0.8282  0.2500
Sc  0.8282  0.6564  0.7500
Sc  0.3436  0.1718  0.7500
Sc  0.8282  0.1718  0.7500
Tc  0.3333  0.6667  0.7500
Tc  0.6667  0.3333  0.2500

* energy relative to the elements: -0.070 eV per atom
* crystal system: hexagonal

---

# 4
Mg3Ti2Si3O12: optimized geometry, GGA-PBE.

Unit cell a=10.2863 b=10.2863 c=10.2863 alpha=109.47 beta=109.47 gamma=109.47
Positions (direct):
Mg  0.2500  0.3750  0.1250
Mg  0.7500  0.1250  0.3750
Mg  0.3750  0.1250  0.2500
Mg  0.1250  0.3750  0.7500
Mg  0.2500  0.8750  0.6250
Mg  0.1250  0.2500  0.3750
Mg  0.6250  0.2500  0.8750
Mg  0.7500  0.6250  0.8750
Mg  0.8750  0.7500  0.6250
Mg  0.8750  0.6250  0.2500
Mg  0.6250  0.8750  0.7500
Mg  0.3750  0.7500  0.1250
Ti  0.5000  0.0000  0.0000
Ti  0.5000  0.5000  0.0000
Ti  0.0000  0.5000  0.5000
Ti  0.0000  0.0000  0.5000
Ti  0.5000  0.5000  0.5000
Ti  0.0000  0.5000  0.0000
Ti  0.5000  0.0000  0.5000
Ti  0.0000  0.0000  0.0000
Si  0.1250  0.7500  0.8750
Si  0.8750  0.2500  0.1250
Si  0.7500  0.3750  0.6250
Si  0.1250  0.8750  0.2500
Si  0.2500  0.1250  0.8750
Si  0.3750  0.6250  0.7500
Si  0.3750  0.2500  0.6250
Si  0.8750  0.1250  0.7500
Si  0.6250  0.3750  0.2500
Si  0.7500  0.8750  0.1250
Si  0.2500  0.6250  0.3750
Si  0.6250  0.7500  0.3750
O  0.5892  0.8956  0.3755
O  0.3755  0.5892  0.8956
O  0.2863  0.3064  0.9108
O  0.4799  0.6044  0.1936
O  0.3064  0.8956  0.0201
O  0.1245  0.0201  0.2137
O  0.3755  0.2863  0.4799
O  0.8956  0.3755  0.5892
O  0.1936  0.2137  0.5892
O  0.4799  0.3755  0.2863
O  0.8956  0.0201  0.3064
O  0.6044  0.9108  0.1245
O  0.9108  0.1245  0.6044
O  0.2863  0.4799  0.3755
O  0.5892  0.1936  0.2137
O  0.2137  0.5892  0.1936
O  0.0201  0.3064  0.8956
O  0.9108  0.2863  0.3064
O  0.0201  0.2137  0.1245
O  0.8064  0.7863  0.4108
O  0.1936  0.4799  0.6044
O  0.6044  0.1936  0.4799
O  0.2137  0.1245  0.0201
O  0.1245  0.6044  0.9108
O  0.4108  0.1044  0.6245
O  0.6245  0.4108  0.1044
O  0.7137  0.6936  0.0892
O  0.5201  0.3956  0.8064
O  0.6936  0.1044  0.9799
O  0.8755  0.9799  0.7863
O  0.6245  0.7137  0.5201
O  0.1044  0.6245  0.4108
O  0.8755  0.3956  0.0892
O  0.7863  0.8755  0.9799
O  0.3956  0.8064  0.5201
O  0.6936  0.0892  0.7137
O  0.8064  0.5201  0.3956
O  0.9799  0.7863  0.8755
O  0.0892  0.7137  0.6936
O  0.9799  0.6936  0.1044
O  0.7863  0.4108  0.8064
O  0.4108  0.8064  0.7863
O  0.7137  0.5201  0.6245
O  0.0892  0.8755  0.3956
O  0.3956  0.0892  0.8755
O  0.1044  0.9799  0.6936
O  0.5201  0.6245  0.7137
O  0.3064  0.9108  0.2863

* energy relative to the elements: -3.131 eV per atom
* crystal system: cubic

---

Q: Which of these has the highest energy relative to the elements?
A: Sc3Tc